# GaPH11C3Cl

A relaxed structure of GaPH11C3Cl (PBE, the Materials Project).

Results
- E_form: -0.282 eV per atom
- Crystal system: triclinic
- Total energy after the MP2020 corrections: -0.346 Ry/atom

Geometry as CIF:
```
data_GaPH11C3Cl
_chemical_formula_sum 'Ga2 P2 H22 C6 Cl2'
_cell_length_a 6.662
_cell_length_b 7.675
_cell_length_c 10.261
_cell_angle_alpha 89.96
_cell_angle_beta 89.98
_cell_angle_gamma 65.01
_symmetry_space_group_name_H-M 'P -1'
_symmetry_Int_Tables_number 2
_symmetry_space_group_name_Hall '-P 1'
loop_
_atom_site_label
_atom_site_type_symbol
_atom_site_fract_x
_atom_site_fract_y
_atom_site_fract_z
Ga1 Ga 0.203 0.363 0.250
P1 P 0.137 0.700 0.250
H1 H 0.182 0.992 0.768
H2 H 0.183 0.744 0.019
H3 H 0.183 0.744 0.481
H4 H 0.214 0.924 0.117
H5 H 0.214 0.925 0.383
H6 H 0.229 0.150 0.655
H7 H 0.240 0.187 0.826
H8 H 0.306 0.270 0.384
H9 H 0.306 0.271 0.116
H10 H 0.433 0.687 0.108
H11 H 0.433 0.687 0.392
C1 C 0.157 0.141 0.750
C2 C 0.252 0.771 0.110
C3 C 0.252 0.771 0.390
Cl1 Cl 0.151 0.615 0.750
```